# 1
# Ta2O5 (PBE-GGA, optimized geometry)
# Formation energy from the elements: -22.36 eV per formula unit
# Spin magnetization: 0.00 Bohr magnetons per cell
data_Ta2O5
_cell_length_a 3.401
_cell_length_b 3.860
_cell_length_c 8.212
_cell_angle_alpha 90.75
_cell_angle_beta 94.89
_cell_angle_gamma 90.12
_space_group_name_H-M_alt 'P 1'
_space_group_IT_number 1
loop_
_space_group_symop_operation_xyz
'x,y,z'
loop_
_atom_site_label
_atom_site_type_symbol
_atom_site_fract_x
_atom_site_fract_y
_atom_site_fract_z
Ta1 Ta 0.000 0.000 0.000
Ta2 Ta 0.396 0.012 0.442
O1 O 0.069 0.004 0.236
O2 O 0.472 0.990 0.892
O3 O 0.481 0.510 0.420
O4 O 0.961 0.012 0.563
O5 O 0.982 0.497 0.010

=====

# 2
# Ta2O5 (PBE-GGA, optimized geometry)
# Formation energy from the elements: -22.81 eV per formula unit
# Spin magnetization: 0.00 Bohr magnetons per cell
data_Ta2O5
_cell_length_a 5.998
_cell_length_b 10.407
_cell_length_c 3.682
_cell_angle_alpha 90.00
_cell_angle_beta 90.00
_cell_angle_gamma 90.00
_space_group_name_H-M_alt 'P b a m'
_space_group_IT_number 55
loop_
_space_group_symop_operation_xyz
'x,y,z'
'-x,-y,-z'
'-x,-y,z'
'x,y,-z'
'x+1/2,-y+1/2,-z'
'-x+1/2,y+1/2,z'
'-x+1/2,y+1/2,-z'
'x+1/2,-y+1/2,z'
loop_
_atom_site_label
_atom_site_type_symbol
_atom_site_fract_x
_atom_site_fract_y
_atom_site_fract_z
Ta1 Ta 0.213 0.138 0.000
O1 O 0.000 0.000 0.000
O2 O 0.027 0.278 0.000
O3 O 0.213 0.598 0.500

=====

# 3
# Ta2O5 (PBE-GGA, optimized geometry)
# Formation energy from the elements: -22.89 eV per formula unit
# Spin magnetization: 0.00 Bohr magnetons per cell
data_Ta2O5
_cell_length_a 6.925
_cell_length_b 7.153
_cell_length_c 7.284
_cell_angle_alpha 62.34
_cell_angle_beta 89.17
_cell_angle_gamma 62.77
_space_group_name_H-M_alt 'P 1'
_space_group_IT_number 1
loop_
_space_group_symop_operation_xyz
'x,y,z'
loop_
_atom_site_label
_atom_site_type_symbol
_atom_site_fract_x
_atom_site_fract_y
_atom_site_fract_z
Ta1 Ta 0.000 0.000 0.000
Ta2 Ta 0.013 0.471 0.485
Ta3 Ta 0.448 0.573 0.411
Ta4 Ta 0.494 0.039 0.925
Ta5 Ta 0.517 0.458 0.986
Ta6 Ta 0.975 0.571 0.936
O1 O 0.052 0.410 0.255
O2 O 0.062 0.171 0.728
O3 O 0.112 0.726 0.315
O4 O 0.200 0.696 0.954
O5 O 0.301 0.317 0.977
O6 O 0.321 0.903 0.126
O7 O 0.374 0.282 0.625
O8 O 0.483 0.559 0.682
O9 O 0.566 0.368 0.292
O10 O 0.600 0.723 0.926
O11 O 0.691 0.089 0.079
O12 O 0.698 0.632 0.375
O13 O 0.807 0.930 0.860
O14 O 0.887 0.307 0.003
O15 O 0.942 0.641 0.651

=====

# 4
# TbTa3O9 (PBE-GGA, optimized geometry)
# Formation energy from the elements: -45.17 eV per formula unit
# Spin magnetization: 0.00 Bohr magnetons per cell
data_TbTa3O9
_cell_length_a 16.702
_cell_length_b 5.572
_cell_length_c 9.676
_cell_angle_alpha 90.00
_cell_angle_beta 125.10
_cell_angle_gamma 90.00
_space_group_name_H-M_alt 'C 1 2/m 1'
_space_group_IT_number 12
loop_
_space_group_symop_operation_xyz
'x,y,z'
'-x,-y,-z'
'-x,y,-z'
'x,-y,z'
'x+1/2,y+1/2,z'
'-x+1/2,-y+1/2,-z'
'-x+1/2,y+1/2,-z'
'x+1/2,-y+1/2,z'
loop_
_atom_site_label
_atom_site_type_symbol
_atom_site_fract_x
_atom_site_fract_y
_atom_site_fract_z
Tb1 Tb 0.174 0.000 0.001
Ta1 Ta 0.077 0.500 0.743
Ta2 Ta 0.083 0.000 0.249
Ta3 Ta 0.250 0.000 0.738
O1 O 0.000 0.000 0.000
O2 O 0.000 0.500 0.500
O3 O 0.013 0.238 0.773
O4 O 0.164 0.238 0.227
O5 O 0.165 0.000 0.497
O6 O 0.176 0.500 0.000
O7 O 0.178 0.250 0.782